Here is Li14Mn5F24 after structural relaxation from the Materials Project database. Energies are from GGA+U.

a = 10.154 Å, b = 15.268 Å, c = 6.069 Å
α = 90.00°, β = 90.00°, γ = 90.00°
Space group Pbam (No. 55)
Asymmetric unit:
Li  0.000  0.000  0.000 x2
Li  0.000  0.500  0.000 x2
Li  0.080  0.165  0.243 x8
Li  0.145  0.667  0.000 x4
Li  0.179  0.821  0.500 x4
Li  0.248  0.511  0.250 x8
Mn  0.000  0.000  0.500 x2
Mn  0.008  0.638  0.500 x4
Mn  0.197  0.322  0.000 x4
F  0.000  0.229  0.500 x4
F  0.017  0.255  0.000 x4
F  0.084  0.584  0.226 x8
F  0.085  0.922  0.247 x8
F  0.158  0.088  0.000 x4
F  0.169  0.079  0.500 x4
F  0.171  0.449  0.000 x4
F  0.179  0.415  0.500 x4
F  0.245  0.744  0.250 x8

Summary:
Energy of formation from the pure elements   -3.022 eV/atom